1.
Here is a relaxed structure of K2ErTiP3O12 from Materials Project. Energies are from PBE.

Output
Symmetry: No. 198
VASP energy, eV per atom: -7.42
Crystal system: cubic
DFT formation energy, eV/f.u.: -58.9

a = 10.278 Å, b = 10.278 Å, c = 10.278 Å
α = 90.00°, β = 90.00°, γ = 90.00°
Positions (direct):
O 0.333 0.517 0.940
P 0.631 0.014 0.708
Er 0.834 0.666 0.334
O 0.401 0.649 0.743
K 0.455 0.455 0.455
O 0.578 0.268 0.017
O 0.440 0.167 0.483
O 0.078 0.232 0.983
O 0.422 0.768 0.483
O 0.851 0.257 0.901
Ti 0.393 0.607 0.107
O 0.251 0.455 0.713
O 0.757 0.599 0.149
O 0.940 0.333 0.517
Ti 0.893 0.893 0.893
O 0.257 0.901 0.851
O 0.667 0.017 0.560
O 0.483 0.440 0.167
Er 0.334 0.834 0.666
O 0.743 0.401 0.649
O 0.787 0.749 0.955
O 0.955 0.787 0.749
O 0.649 0.743 0.401
O 0.599 0.149 0.757
Er 0.166 0.166 0.166
O 0.483 0.422 0.768
K 0.819 0.319 0.181
O 0.517 0.922 0.732
O 0.749 0.955 0.787
O 0.560 0.667 0.017
P 0.292 0.131 0.486
O 0.232 0.983 0.078
O 0.768 0.483 0.422
O 0.545 0.213 0.249
P 0.986 0.208 0.869
P 0.014 0.708 0.631
P 0.708 0.631 0.014
Ti 0.107 0.393 0.607
O 0.213 0.249 0.545
P 0.514 0.792 0.369
Er 0.666 0.334 0.834
K 0.181 0.819 0.319
P 0.208 0.869 0.986
O 0.149 0.757 0.599
O 0.922 0.732 0.517
P 0.486 0.292 0.131
O 0.833 0.983 0.060
O 0.099 0.351 0.243
P 0.792 0.369 0.514
K 0.955 0.045 0.545
P 0.369 0.514 0.792
O 0.901 0.851 0.257
O 0.351 0.243 0.099
O 0.732 0.517 0.922
P 0.131 0.486 0.292
O 0.045 0.287 0.751
K 0.545 0.955 0.045
K 0.319 0.181 0.819
P 0.869 0.986 0.208
O 0.983 0.060 0.833
O 0.243 0.099 0.351
O 0.268 0.017 0.578
O 0.017 0.578 0.268
Ti 0.607 0.107 0.393
K 0.045 0.545 0.955
O 0.983 0.078 0.232
O 0.060 0.833 0.983
O 0.167 0.483 0.440
O 0.249 0.545 0.213
O 0.455 0.713 0.251
O 0.287 0.751 0.045
K 0.681 0.681 0.681
O 0.751 0.045 0.287
O 0.017 0.560 0.667
O 0.517 0.940 0.333
O 0.713 0.251 0.455

***

2.
Here is a relaxed structure of K3ErS3O12 from Materials Project. Energies are from PBE.

Output
Symmetry: No. 7
VASP energy, eV per atom: -6.23
Crystal system: monoclinic
DFT formation energy, eV/f.u.: -46.8

a = 14.819 Å, b = 9.130 Å, c = 9.320 Å
α = 69.36°, β = 90.00°, γ = 90.00°
Positions (direct):
O 0.938 0.169 0.512
O 0.568 0.066 0.594
S 0.845 0.143 0.087
K 0.441 0.243 0.736
O 0.273 0.587 0.524
O 0.717 0.813 0.896
K 0.738 0.451 0.686
O 0.359 0.823 0.494
O 0.434 0.686 0.000
O 0.143 0.167 0.972
O 0.798 0.724 0.712
O 0.003 0.841 0.639
K 0.924 0.707 0.231
O 0.456 0.390 0.962
O 0.614 0.460 0.909
S 0.808 0.782 0.844
O 0.697 0.718 0.223
O 0.763 0.232 0.005
O 0.143 0.434 0.775
K 0.512 0.539 0.333
K 0.011 0.030 0.847
K 0.737 0.417 0.208
K 0.488 0.039 0.333
K 0.559 0.743 0.736
O 0.323 0.647 0.747
O 0.544 0.890 0.962
O 0.857 0.667 0.972
S 0.552 0.345 0.013
O 0.867 0.424 0.461
O 0.283 0.313 0.896
O 0.167 0.482 0.079
S 0.651 0.155 0.588
S 0.349 0.655 0.588
Er 0.853 0.963 0.510
O 0.655 0.956 0.258
O 0.783 0.804 0.403
O 0.217 0.304 0.403
O 0.677 0.147 0.747
S 0.048 0.836 0.496
K 0.263 0.917 0.208
S 0.192 0.282 0.844
O 0.727 0.087 0.524
O 0.432 0.566 0.594
K 0.076 0.207 0.231
O 0.641 0.323 0.494
S 0.155 0.643 0.087
O 0.630 0.706 0.469
O 0.157 0.638 0.250
O 0.303 0.218 0.223
O 0.562 0.335 0.174
O 0.843 0.138 0.250
O 0.133 0.924 0.461
Er 0.326 0.501 0.000
O 0.237 0.732 0.005
O 0.345 0.456 0.258
O 0.202 0.224 0.712
O 0.438 0.835 0.174
S 0.952 0.336 0.496
Er 0.147 0.463 0.510
O 0.386 0.960 0.909
O 0.062 0.669 0.512
O 0.833 0.982 0.079
O 0.857 0.934 0.775
K 0.989 0.530 0.847
O 0.021 0.407 0.371
Er 0.674 0.001 0.000
K 0.262 0.951 0.686
O 0.566 0.186 0.000
O 0.070 0.716 0.014
O 0.979 0.907 0.371
O 0.997 0.341 0.639
S 0.309 0.293 0.342
O 0.370 0.206 0.469
S 0.691 0.793 0.342
O 0.930 0.216 0.014
S 0.448 0.845 0.013

***

3.
Here is a relaxed structure of KErS2O8 from Materials Project. Energies are from PBE.

Output
Symmetry: No. 14
VASP energy, eV per atom: -6.56
Crystal system: monoclinic
DFT formation energy, eV/f.u.: -30.7

a = 13.501 Å, b = 5.496 Å, c = 10.180 Å
α = 60.71°, β = 90.00°, γ = 90.00°
Positions (direct):
O 0.709 0.742 0.964
O 0.379 0.969 0.510
O 0.601 0.480 0.478
O 0.289 0.864 0.337
Er 0.849 0.910 0.813
S 0.617 0.177 0.580
O 0.291 0.258 0.036
O 0.033 0.936 0.811
S 0.163 0.360 0.387
O 0.897 0.385 0.648
S 0.117 0.823 0.920
S 0.663 0.640 0.113
O 0.209 0.258 0.536
O 0.603 0.385 0.148
O 0.397 0.615 0.852
O 0.121 0.969 0.010
O 0.267 0.416 0.764
O 0.594 0.861 0.107
Er 0.651 0.910 0.313
K 0.412 0.590 0.156
O 0.406 0.139 0.893
K 0.912 0.410 0.344
O 0.533 0.064 0.689
O 0.879 0.031 0.990
O 0.789 0.136 0.163
O 0.101 0.520 0.022
S 0.837 0.640 0.613
O 0.621 0.031 0.490
O 0.467 0.936 0.311
K 0.088 0.590 0.656
O 0.103 0.615 0.352
S 0.337 0.360 0.887
O 0.733 0.584 0.236
O 0.899 0.480 0.978
K 0.588 0.410 0.844
O 0.211 0.864 0.837
O 0.906 0.861 0.607
Er 0.349 0.090 0.687
O 0.967 0.064 0.189
S 0.383 0.823 0.420
O 0.399 0.520 0.522
O 0.711 0.136 0.663
O 0.791 0.742 0.464
S 0.883 0.177 0.080
O 0.233 0.416 0.264
Er 0.151 0.090 0.187
O 0.767 0.584 0.736
O 0.094 0.139 0.393

***

4.
Here is a relaxed structure of KErS2O10 from Materials Project. Energies are from PBE.

Output
Symmetry: No. 14
VASP energy, eV per atom: -5.94
Crystal system: monoclinic
DFT formation energy, eV/f.u.: -26.5

a = 8.157 Å, b = 10.102 Å, c = 10.982 Å
α = 81.05°, β = 90.00°, γ = 90.00°
Positions (direct):
O 0.745 0.593 0.469
S 0.727 0.294 0.117
O 0.223 0.357 0.842
O 0.121 0.649 0.835
O 0.882 0.312 0.440
S 0.650 0.689 0.531
S 0.850 0.189 0.531
O 0.118 0.688 0.560
S 0.150 0.811 0.469
Er 0.264 0.533 0.682
O 0.255 0.407 0.531
Er 0.236 0.033 0.682
O 0.913 0.854 0.179
Er 0.764 0.967 0.318
O 0.732 0.720 0.641
O 0.379 0.149 0.835
O 0.723 0.143 0.158
K 0.268 0.909 0.133
S 0.773 0.794 0.117
O 0.382 0.188 0.560
O 0.621 0.851 0.165
O 0.018 0.128 0.563
O 0.777 0.643 0.158
O 0.268 0.280 0.359
S 0.350 0.311 0.469
O 0.755 0.093 0.469
O 0.087 0.146 0.821
O 0.413 0.646 0.821
O 0.518 0.372 0.437
O 0.988 0.465 0.708
O 0.482 0.628 0.563
O 0.471 0.550 0.290
O 0.012 0.535 0.292
O 0.879 0.351 0.165
S 0.227 0.206 0.883
O 0.768 0.220 0.641
K 0.768 0.591 0.867
O 0.232 0.780 0.359
O 0.715 0.321 0.982
O 0.285 0.679 0.018
O 0.785 0.821 0.982
O 0.971 0.950 0.710
O 0.245 0.907 0.531
O 0.587 0.354 0.179
O 0.215 0.179 0.018
K 0.732 0.091 0.867
S 0.273 0.706 0.883
O 0.982 0.872 0.437
O 0.029 0.050 0.290
O 0.618 0.812 0.440
O 0.529 0.450 0.710
O 0.512 0.965 0.708
K 0.232 0.409 0.133
O 0.277 0.857 0.842
O 0.488 0.035 0.292
Er 0.736 0.467 0.318

***

5.
Here is a relaxed structure of K3ErSi2O7 from Materials Project. Energies are from PBE.

Output
Symmetry: No. 193
VASP energy, eV per atom: -6.83
Crystal system: hexagonal
DFT formation energy, eV/f.u.: -40.2

a = 9.909 Å, b = 9.909 Å, c = 14.436 Å
α = 90.00°, β = 90.00°, γ = 120.00°
Positions (direct):
Si 0.658 0.658 0.857
O 0.409 0.000 0.750
Er 0.333 0.667 0.500
K 0.333 0.667 0.250
K 0.332 0.000 0.408
K 0.000 0.668 0.908
K 0.332 0.000 0.092
O 0.478 0.322 0.409
O 0.177 0.177 0.149
O 0.478 0.156 0.909
O 0.000 0.177 0.851
O 0.322 0.478 0.091
O 0.156 0.478 0.909
Si 0.342 0.000 0.643
O 0.844 0.522 0.091
O 0.823 0.823 0.851
O 0.591 0.000 0.250
Si 0.342 0.342 0.357
K 0.668 0.668 0.408
Si 0.342 0.000 0.857
O 0.522 0.678 0.591
O 0.522 0.844 0.091
O 0.322 0.478 0.409
O 0.156 0.478 0.591
O 0.000 0.823 0.351
Si 0.000 0.342 0.857
O 0.844 0.522 0.409
K 0.000 0.332 0.408
K 0.000 0.332 0.092
Si 0.000 0.658 0.143
Si 0.000 0.658 0.357
K 0.667 0.333 0.750
O 0.000 0.823 0.149
K 0.333 0.667 0.750
Si 0.658 0.658 0.643
O 0.678 0.156 0.409
Si 0.342 0.342 0.143
O 0.522 0.678 0.909
O 0.409 0.409 0.250
K 0.000 0.668 0.592
O 0.678 0.522 0.591
O 0.522 0.844 0.409
O 0.823 0.000 0.149
O 0.177 0.000 0.649
Si 0.000 0.342 0.643
O 0.844 0.322 0.591
O 0.156 0.678 0.091
O 0.678 0.156 0.091
Er 0.333 0.667 0.000
Si 0.658 0.000 0.357
Er 0.000 0.000 0.250
K 0.668 0.668 0.092
O 0.000 0.177 0.649
O 0.478 0.156 0.591
K 0.000 0.000 0.000
O 0.177 0.177 0.351
K 0.000 0.000 0.500
K 0.332 0.332 0.908
O 0.823 0.823 0.649
O 0.177 0.000 0.851
K 0.332 0.332 0.592
K 0.668 0.000 0.908
O 0.000 0.591 0.250
Er 0.667 0.333 0.000
O 0.478 0.322 0.091
K 0.667 0.333 0.250
O 0.322 0.844 0.909
K 0.668 0.000 0.592
O 0.591 0.591 0.750
Si 0.658 0.000 0.143
O 0.844 0.322 0.909
O 0.678 0.522 0.909
O 0.156 0.678 0.409
O 0.322 0.844 0.591
Er 0.000 0.000 0.750
Er 0.667 0.333 0.500
O 0.823 0.000 0.351
O 0.000 0.409 0.750

***

6.
Here is a relaxed structure of KErP2S7 from Materials Project. Energies are from PBE.

Output
Symmetry: No. 14
VASP energy, eV per atom: -5.02
Crystal system: monoclinic
DFT formation energy, eV/f.u.: -13.2

a = 12.457 Å, b = 9.016 Å, c = 9.709 Å
α = 89.83°, β = 90.00°, γ = 90.00°
Positions (direct):
S 0.945 0.323 0.002
S 0.320 0.581 0.908
K 0.309 0.130 0.390
S 0.809 0.647 0.856
S 0.820 0.919 0.092
S 0.055 0.677 0.998
S 0.713 0.613 0.368
S 0.453 0.577 0.243
S 0.442 0.713 0.635
S 0.691 0.147 0.856
P 0.607 0.476 0.273
S 0.547 0.423 0.757
P 0.893 0.976 0.273
S 0.287 0.387 0.632
P 0.534 0.198 0.823
P 0.393 0.524 0.727
S 0.047 0.077 0.243
P 0.966 0.698 0.823
P 0.466 0.802 0.177
Er 0.642 0.107 0.141
S 0.469 0.068 0.675
S 0.213 0.887 0.632
S 0.680 0.419 0.092
S 0.445 0.177 0.998
Er 0.142 0.393 0.859
S 0.180 0.081 0.908
S 0.953 0.923 0.757
K 0.809 0.370 0.610
K 0.191 0.630 0.390
K 0.691 0.870 0.610
Er 0.858 0.607 0.141
Er 0.358 0.893 0.859
S 0.969 0.432 0.325
S 0.309 0.853 0.144
S 0.191 0.353 0.144
S 0.031 0.568 0.675
S 0.058 0.213 0.635
S 0.531 0.932 0.325
P 0.107 0.024 0.727
S 0.942 0.787 0.365
S 0.555 0.823 0.002
S 0.787 0.113 0.368
S 0.558 0.287 0.365
P 0.034 0.302 0.177